No. 1
{"formula": "NaLaNiWO6", "functional": "GGA+U", "state": "relaxed", "density_g_cm3": 6.71, "e_form_ev_per_atom": -2.494, "corrected_energy_ev_per_atom": -7.96, "total_energy_ev_per_atom": -6.852, "space_group": "P1", "lattice": [[7.902, 0.000, 0.000], [-0.006, 7.917, 0.000], [-0.007, -3.913, 11.872]], "species": ["Na", "Na", "Na", "Na", "Na", "Na", "La", "La", "La", "La", "La", "La", "Ni", "Ni", "Ni", "Ni", "Ni", "Ni", "W", "W", "W", "W", "W", "W", "O", "O", "O", "O", "O", "O", "O", "O", "O", "O", "O", "O", "O", "O", "O", "O", "O", "O", "O", "O", "O", "O", "O", "O", "O", "O", "O", "O", "O", "O", "O", "O", "O", "O", "O", "O"], "frac_coords": [[0.000, 0.000, 0.000], [0.001, 0.152, 0.320], [0.003, 0.481, 0.992], [0.503, 0.655, 0.324], [0.998, 0.330, 0.661], [0.999, 0.815, 0.656], [0.005, 0.667, 0.331], [0.498, 0.824, 0.660], [0.499, 0.163, 0.325], [0.500, 0.491, 0.995], [0.501, 0.323, 0.661], [0.501, 0.989, 0.991], [0.244, 0.154, 0.826], [0.249, 0.489, 0.492], [0.250, 0.822, 0.158], [0.750, 0.990, 0.493], [0.752, 0.325, 0.161], [0.755, 0.657, 0.826], [0.235, 0.655, 0.826], [0.242, 0.992, 0.493], [0.243, 0.323, 0.159], [0.759, 0.488, 0.492], [0.759, 0.823, 0.158], [0.764, 0.157, 0.826], [0.007, 0.378, 0.187], [0.009, 0.710, 0.854], [0.010, 0.045, 0.519], [0.202, 0.749, 0.494], [0.204, 0.911, 0.331], [0.222, 0.241, 0.998], [0.224, 0.579, 0.665], [0.225, 0.417, 0.830], [0.226, 0.082, 0.161], [0.289, 0.564, 0.156], [0.291, 0.403, 0.320], [0.299, 0.071, 0.655], [0.303, 0.897, 0.826], [0.304, 0.233, 0.492], [0.307, 0.738, 0.987], [0.486, 0.938, 0.469], [0.494, 0.275, 0.135], [0.495, 0.607, 0.799], [0.504, 0.207, 0.851], [0.509, 0.539, 0.523], [0.509, 0.880, 0.183], [0.695, 0.074, 0.664], [0.695, 0.246, 0.493], [0.696, 0.913, 0.823], [0.697, 0.744, 0.996], [0.704, 0.403, 0.332], [0.707, 0.580, 0.155], [0.773, 0.228, 0.987], [0.774, 0.396, 0.823], [0.778, 0.063, 0.157], [0.783, 0.565, 0.653], [0.792, 0.728, 0.486], [0.793, 0.896, 0.320], [0.991, 0.104, 0.800], [0.991, 0.438, 0.461], [0.992, 0.767, 0.135]]}

=====

No. 2
{"formula": "NaFeS2O2", "functional": "GGA+U", "state": "relaxed", "density_g_cm3": 2.39, "e_form_ev_per_atom": -0.726, "corrected_energy_ev_per_atom": -5.39, "total_energy_ev_per_atom": -4.781, "space_group": "C2/c", "relative_energy_ev_per_fu": 0.70, "lattice": [[5.052, -4.600, 0.000], [5.052, 4.600, 0.000], [-3.190, 0.000, 5.241]], "species": ["Na", "Na", "Fe", "Fe", "S", "S", "S", "S", "O", "O", "O", "O"], "frac_coords": [[0.081, 0.919, 0.750], [0.919, 0.081, 0.250], [0.494, 0.506, 0.250], [0.506, 0.494, 0.750], [0.216, 0.452, 0.855], [0.452, 0.216, 0.355], [0.548, 0.784, 0.645], [0.784, 0.548, 0.145], [0.075, 0.241, 0.695], [0.241, 0.075, 0.195], [0.759, 0.925, 0.805], [0.925, 0.759, 0.305]]}

=====

No. 3
{"formula": "LiCr4Hg2O8", "functional": "GGA+U", "state": "relaxed", "density_g_cm3": 6.86, "e_form_ev_per_atom": -1.746, "corrected_energy_ev_per_atom": -7.13, "total_energy_ev_per_atom": -6.227, "space_group": "R-3m", "relative_energy_ev_per_fu": 0.19, "lattice": [[3.076, 1.776, 5.500], [-3.076, 1.776, 5.500], [0.000, -3.551, 5.500]], "species": ["Li", "Cr", "Cr", "Cr", "Cr", "Hg", "Hg", "O", "O", "O", "O", "O", "O", "O", "O"], "frac_coords": [[0.000, 0.000, 0.000], [0.000, 0.500, 0.500], [0.500, 0.000, 0.500], [0.500, 0.500, 0.000], [0.500, 0.500, 0.500], [0.150, 0.150, 0.150], [0.850, 0.850, 0.850], [0.262, 0.262, 0.699], [0.262, 0.699, 0.262], [0.279, 0.279, 0.279], [0.301, 0.738, 0.738], [0.699, 0.262, 0.262], [0.721, 0.721, 0.721], [0.738, 0.301, 0.738], [0.738, 0.738, 0.301]]}

=====

No. 4
{"formula": "Sr2YMgCrO6", "functional": "GGA+U", "state": "relaxed", "density_g_cm3": 4.58, "e_form_ev_per_atom": -2.774, "corrected_energy_ev_per_atom": -7.39, "total_energy_ev_per_atom": -6.834, "space_group": "Immm", "relative_energy_ev_per_fu": 1.09, "lattice": [[-2.925, 2.941, 4.603], [2.925, -2.941, 4.603], [2.925, 2.941, -4.603]], "species": ["Sr", "Sr", "Y", "Mg", "Cr", "O", "O", "O", "O", "O", "O"], "frac_coords": [[0.184, 0.184, 0.000], [0.816, 0.816, 0.000], [0.000, 0.500, 0.500], [0.500, 0.500, 0.000], [0.500, 0.000, 0.500], [0.260, 0.760, 0.500], [0.268, 0.244, 0.512], [0.268, 0.756, 0.024], [0.732, 0.244, 0.976], [0.732, 0.756, 0.488], [0.740, 0.240, 0.500]]}

=====

No. 5
{"formula": "NaLaCr4O12", "functional": "GGA+U", "state": "relaxed", "density_g_cm3": 4.44, "e_form_ev_per_atom": -1.902, "corrected_energy_ev_per_atom": -7.69, "total_energy_ev_per_atom": -6.792, "space_group": "Amm2", "lattice": [[7.534, 0.000, 0.000], [0.000, 3.654, 3.814], [0.000, -3.654, 3.814]], "species": ["Na", "La", "Cr", "Cr", "Cr", "Cr", "O", "O", "O", "O", "O", "O", "O", "O", "O", "O", "O", "O"], "frac_coords": [[0.000, 0.000, 0.000], [0.500, 0.472, 0.472], [0.240, 0.480, 0.973], [0.240, 0.973, 0.480], [0.760, 0.480, 0.973], [0.760, 0.973, 0.480], [0.000, 0.032, 0.447], [0.000, 0.447, 0.032], [0.211, 0.781, 0.781], [0.247, 0.284, 0.710], [0.247, 0.710, 0.284], [0.290, 0.219, 0.219], [0.500, 0.532, 0.963], [0.500, 0.963, 0.532], [0.710, 0.219, 0.219], [0.753, 0.284, 0.710], [0.753, 0.710, 0.284], [0.789, 0.781, 0.781]]}

=====

No. 6
{"formula": "MnFeH14O7F5", "functional": "GGA+U", "state": "relaxed", "density_g_cm3": 2.05, "e_form_ev_per_atom": -1.402, "corrected_energy_ev_per_atom": -5.31, "total_energy_ev_per_atom": -4.913, "space_group": "C2/c", "lattice": [[5.842, -7.017, 0.000], [5.842, 7.017, 0.000], [-3.089, 0.000, 13.128]], "species": ["Mn", "Mn", "Mn", "Mn", "Fe", "Fe", "Fe", "Fe", "H", "H", "H", "H", "H", "H", "H", "H", "H", "H", "H", "H", "H", "H", "H", "H", "H", "H", "H", "H", "H", "H", "H", "H", "H", "H", "H", "H", "H", "H", "H", "H", "H", "H", "H", "H", "H", "H", "H", "H", "H", "H", "H", "H", "H", "H", "H", "H", "H", "H", "H", "H", "H", "H", "H", "H", "O", "O", "O", "O", "O", "O", "O", "O", "O", "O", "O", "O", "O", "O", "O", "O", "O", "O", "O", "O", "O", "O", "O", "O", "O", "O", "O", "O", "F", "F", "F", "F", "F", "F", "F", "F", "F", "F", "F", "F", "F", "F", "F", "F", "F", "F", "F", "F"], "frac_coords": [[0.001, 0.999, 0.750], [0.495, 0.505, 0.250], [0.505, 0.495, 0.750], [0.999, 0.001, 0.250], [0.000, 0.500, 0.000], [0.000, 0.500, 0.500], [0.500, 0.000, 0.000], [0.500, 0.000, 0.500], [0.056, 0.734, 0.898], [0.075, 0.193, 0.442], [0.100, 0.194, 0.611], [0.130, 0.745, 0.706], [0.134, 0.747, 0.204], [0.150, 0.229, 0.913], [0.172, 0.795, 0.999], [0.193, 0.075, 0.942], [0.193, 0.504, 0.230], [0.194, 0.100, 0.111], [0.194, 0.244, 0.194], [0.205, 0.828, 0.501], [0.229, 0.150, 0.413], [0.236, 0.525, 0.760], [0.238, 0.476, 0.346], [0.244, 0.194, 0.694], [0.253, 0.866, 0.296], [0.255, 0.870, 0.794], [0.266, 0.944, 0.602], [0.275, 0.520, 0.813], [0.334, 0.471, 0.551], [0.339, 0.428, 0.053], [0.428, 0.339, 0.553], [0.471, 0.334, 0.051], [0.475, 0.764, 0.740], [0.476, 0.238, 0.846], [0.480, 0.725, 0.687], [0.496, 0.807, 0.270], [0.504, 0.193, 0.730], [0.520, 0.275, 0.313], [0.524, 0.762, 0.154], [0.525, 0.236, 0.260], [0.529, 0.666, 0.949], [0.572, 0.661, 0.447], [0.661, 0.572, 0.947], [0.666, 0.529, 0.449], [0.725, 0.480, 0.187], [0.734, 0.056, 0.398], [0.745, 0.130, 0.206], [0.747, 0.134, 0.704], [0.756, 0.806, 0.306], [0.762, 0.524, 0.654], [0.764, 0.475, 0.240], [0.771, 0.850, 0.587], [0.795, 0.172, 0.499], [0.806, 0.756, 0.806], [0.806, 0.900, 0.889], [0.807, 0.496, 0.770], [0.807, 0.925, 0.058], [0.828, 0.205, 0.001], [0.850, 0.771, 0.087], [0.866, 0.253, 0.796], [0.870, 0.255, 0.294], [0.900, 0.806, 0.389], [0.925, 0.807, 0.558], [0.944, 0.266, 0.102], [0.087, 0.328, 0.759], [0.100, 0.703, 0.960], [0.118, 0.129, 0.393], [0.129, 0.118, 0.893], [0.129, 0.150, 0.154], [0.150, 0.129, 0.654], [0.152, 0.848, 0.750], [0.153, 0.847, 0.250], [0.263, 0.460, 0.275], [0.297, 0.900, 0.540], [0.328, 0.087, 0.259], [0.411, 0.433, 0.595], [0.433, 0.411, 0.095], [0.460, 0.263, 0.775], [0.540, 0.737, 0.225], [0.567, 0.589, 0.905], [0.589, 0.567, 0.405], [0.672, 0.913, 0.741], [0.703, 0.100, 0.460], [0.737, 0.540, 0.725], [0.847, 0.153, 0.750], [0.848, 0.152, 0.250], [0.850, 0.871, 0.346], [0.871, 0.850, 0.846], [0.871, 0.882, 0.107], [0.882, 0.871, 0.607], [0.900, 0.297, 0.040], [0.913, 0.672, 0.241], [0.009, 0.716, 0.475], [0.089, 0.585, 0.639], [0.103, 0.574, 0.141], [0.177, 0.419, 0.979], [0.205, 0.504, 0.465], [0.284, 0.991, 0.025], [0.415, 0.911, 0.861], [0.419, 0.177, 0.479], [0.426, 0.897, 0.359], [0.496, 0.795, 0.035], [0.504, 0.205, 0.965], [0.574, 0.103, 0.641], [0.581, 0.823, 0.521], [0.585, 0.089, 0.139], [0.716, 0.009, 0.975], [0.795, 0.496, 0.535], [0.823, 0.581, 0.021], [0.897, 0.426, 0.859], [0.911, 0.415, 0.361], [0.991, 0.284, 0.525]]}

=====

No. 7
{"formula": "V9NiO15", "functional": "GGA+U", "state": "relaxed", "density_g_cm3": 4.76, "e_form_ev_per_atom": -2.401, "corrected_energy_ev_per_atom": -8.87, "total_energy_ev_per_atom": -7.745, "space_group": "P-1", "lattice": [[7.534, 0.000, 0.000], [3.445, 8.121, 0.000], [2.839, 0.381, 8.631]], "species": ["V", "V", "V", "V", "V", "V", "V", "V", "V", "V", "V", "V", "V", "V", "V", "V", "V", "V", "Ni", "Ni", "O", "O", "O", "O", "O", "O", "O", "O", "O", "O", "O", "O", "O", "O", "O", "O", "O", "O", "O", "O", "O", "O", "O", "O", "O", "O", "O", "O", "O", "O"], "frac_coords": [[0.023, 0.159, 0.486], [0.070, 0.039, 0.123], [0.132, 0.359, 0.079], [0.169, 0.240, 0.720], [0.232, 0.558, 0.678], [0.269, 0.441, 0.321], [0.369, 0.639, 0.924], [0.433, 0.961, 0.880], [0.468, 0.840, 0.520], [0.532, 0.160, 0.480], [0.567, 0.039, 0.120], [0.631, 0.361, 0.076], [0.731, 0.559, 0.679], [0.768, 0.442, 0.322], [0.831, 0.760, 0.280], [0.868, 0.641, 0.921], [0.930, 0.961, 0.877], [0.977, 0.841, 0.514], [0.337, 0.759, 0.276], [0.663, 0.241, 0.724], [0.010, 0.217, 0.263], [0.013, 0.522, 0.258], [0.020, 0.864, 0.278], [0.172, 0.538, 0.921], [0.188, 0.184, 0.939], [0.188, 0.878, 0.939], [0.204, 0.614, 0.465], [0.209, 0.926, 0.468], [0.226, 0.261, 0.477], [0.370, 0.944, 0.119], [0.389, 0.277, 0.138], [0.389, 0.578, 0.138], [0.406, 0.322, 0.659], [0.413, 0.017, 0.661], [0.428, 0.660, 0.678], [0.572, 0.340, 0.322], [0.587, 0.983, 0.339], [0.594, 0.678, 0.341], [0.611, 0.422, 0.862], [0.611, 0.723, 0.862], [0.630, 0.056, 0.881], [0.774, 0.739, 0.523], [0.791, 0.074, 0.532], [0.796, 0.386, 0.535], [0.812, 0.122, 0.061], [0.812, 0.816, 0.061], [0.828, 0.462, 0.079], [0.980, 0.136, 0.722], [0.987, 0.478, 0.742], [0.990, 0.783, 0.737]]}

=====

No. 8
{"formula": "AcNiO3", "functional": "GGA+U", "state": "relaxed", "density_g_cm3": 9.09, "e_form_ev_per_atom": -2.455, "corrected_energy_ev_per_atom": -7.40, "total_energy_ev_per_atom": -6.484, "space_group": "Pm-3m", "lattice": [[3.936, 0.000, 0.000], [0.000, 3.936, 0.000], [0.000, 0.000, 3.936]], "species": ["Ac", "Ni", "O", "O", "O"], "frac_coords": [[0.000, 0.000, 0.000], [0.500, 0.500, 0.500], [0.000, 0.500, 0.500], [0.500, 0.000, 0.500], [0.500, 0.500, 0.000]]}